# U2B9O22 | Materials Project | PBE | optimized geometry
data_U2B9O22
_chemical_formula_sum 'U2 B9 O22'
_space_group_name_H-M_alt 'P 1'
_space_group_IT_number 1
_space_group_name_Hall 'P 1'
_cell_length_a 6.5259
_cell_length_b 6.5825
_cell_length_c 11.1944
_cell_angle_alpha 97.25
_cell_angle_beta 92.91
_cell_angle_gamma 119.67
loop_
_atom_site_label
_atom_site_fract_x
_atom_site_fract_y
_atom_site_fract_z
U1 0.0000 0.0000 0.0000
U2 0.2544 0.4943 0.5484
B1 0.3242 0.6624 0.9986
B2 0.3733 0.0976 0.5910
B3 0.5204 0.1015 0.0529
B4 0.6002 0.5139 0.0625
B5 0.6194 0.1373 0.2986
B6 0.6552 0.9830 0.4816
B7 0.7415 0.3870 0.5026
B8 0.8754 0.3897 0.9568
B9 0.9254 0.8283 0.5422
O1 0.0290 0.0582 0.1619
O2 0.1222 0.4407 0.9823
O3 0.1297 0.0496 0.5618
O4 0.2124 0.4271 0.3868
O5 0.2993 0.5630 0.7109
O6 0.3101 0.8641 0.0004
O7 0.4201 0.9164 0.5316
O8 0.4289 0.1007 0.7189
O9 0.4291 0.2630 0.0274
O10 0.5232 0.3341 0.5602
O11 0.5447 0.6819 0.0162
O12 0.5808 0.1150 0.1776
O13 0.6062 0.9533 0.3513
O14 0.6428 0.5774 0.1947
O15 0.6725 0.3478 0.3726
O16 0.7063 0.8053 0.5181
O17 0.7306 0.1567 0.9892
O18 0.8296 0.2309 0.5354
O19 0.8310 0.3996 0.8291
O20 0.8339 0.5743 0.0204
O21 0.9420 0.6282 0.5459
O22 0.9647 0.9378 0.8380
# - ΔH_f (0 K): -87.6 eV per formula unit

# YBO3 | Materials Project | PBE | optimized geometry
data_YBO3
_chemical_formula_sum 'Y4 B4 O12'
_space_group_name_H-M_alt 'P n m a'
_space_group_IT_number 62
_space_group_name_Hall '-P 2ac 2n'
_cell_length_a 6.4807
_cell_length_b 8.4755
_cell_length_c 4.5204
_cell_angle_alpha 90.00
_cell_angle_beta 90.00
_cell_angle_gamma 90.00
loop_
_atom_site_label
_atom_site_fract_x
_atom_site_fract_y
_atom_site_fract_z
Y1 0.0000 0.0000 0.0000
B1 0.1332 0.2500 0.4633
O1 0.0430 0.2500 0.1867
O2 0.1777 0.1060 0.5975
# - ΔH_f (0 K): -17.5 eV per formula unit

# YB6O12 | Materials Project | PBE | optimized geometry
data_YB6O12
_chemical_formula_sum 'Y6 B36 O72'
_space_group_name_H-M_alt 'R 3 c'
_space_group_IT_number 161
_space_group_name_Hall 'R 3 -2"c'
_cell_length_a 8.5445
_cell_length_b 8.5445
_cell_length_c 20.8310
_cell_angle_alpha 90.00
_cell_angle_beta 90.00
_cell_angle_gamma 120.00
loop_
_atom_site_label
_atom_site_fract_x
_atom_site_fract_y
_atom_site_fract_z
Y1 0.0000 0.0000 0.0000
B1 0.0062 0.2953 0.0824
B2 0.0958 0.4143 0.2978
O1 0.0022 0.4705 0.4619
O2 0.0625 0.2427 0.4304
O3 0.0785 0.3529 0.6813
O4 0.0879 0.2247 0.5820
# - ΔH_f (0 K): -50.3 eV per formula unit

# YB5O9 | Materials Project | PBE | optimized geometry
data_YB5O9
_chemical_formula_sum 'Y4 B20 O36'
_space_group_name_H-M_alt 'P 1 21/c 1'
_space_group_IT_number 14
_space_group_name_Hall '-P 2ybc'
_cell_length_a 6.3849
_cell_length_b 11.4889
_cell_length_c 8.1442
_cell_angle_alpha 90.00
_cell_angle_beta 105.66
_cell_angle_gamma 90.00
loop_
_atom_site_label
_atom_site_fract_x
_atom_site_fract_y
_atom_site_fract_z
Y1 0.2477 0.1762 0.1367
B1 0.0118 0.5975 0.7200
B2 0.2099 0.0584 0.4510
B3 0.2741 0.7474 0.3283
B4 0.3094 0.6274 0.5883
B5 0.3581 0.0307 0.7571
O1 0.0752 0.6161 0.5612
O2 0.0807 0.7015 0.8326
O3 0.0991 0.0137 0.2945
O4 0.2288 0.0963 0.8324
O5 0.2590 0.1741 0.4497
O6 0.2773 0.5126 0.0936
O7 0.3668 0.6575 0.4325
O8 0.3951 0.7207 0.7188
O9 0.4231 0.5176 0.6605
# - ΔH_f (0 K): -45.6 eV per formula unit

# Zn4B2O7 | Materials Project | PBE | optimized geometry
data_Zn4B2O7
_chemical_formula_sum 'Zn24 B12 O42'
_space_group_name_H-M_alt 'C 1 2 1'
_space_group_IT_number 5
_space_group_name_Hall 'C 2y'
_cell_length_a 14.3445
_cell_length_b 8.3079
_cell_length_c 9.9908
_cell_angle_alpha 90.00
_cell_angle_beta 117.53
_cell_angle_gamma 90.00
loop_
_atom_site_label
_atom_site_fract_x
_atom_site_fract_y
_atom_site_fract_z
Zn1 0.0801 0.0000 0.3589
Zn2 0.0820 0.4561 0.8375
Zn3 0.1056 0.7652 0.6620
Zn4 0.1302 0.1724 0.6646
Zn5 0.1305 0.6630 0.1964
Zn6 0.1440 0.3044 0.1714
B1 0.0000 0.0637 0.0000
B2 0.0000 0.4604 0.5000
B3 0.2388 0.7217 0.9993
B4 0.2395 0.7408 0.5008
O1 0.0000 0.6273 0.5000
O2 0.0538 0.4752 0.1669
O3 0.0555 0.3779 0.6344
O4 0.0605 0.9804 0.6762
O5 0.0651 0.0682 0.1391
O6 0.1580 0.6639 0.8671
O7 0.1585 0.8007 0.3677
O8 0.1743 0.2986 0.9989
O9 0.1801 0.1548 0.5054
O10 0.2360 0.7666 0.6346
O11 0.2371 0.7063 0.1364
# - ΔH_f (0 K): -27.6 eV per formula unit

# Zn3BO5 | Materials Project | PBE | optimized geometry
data_Zn3BO5
_chemical_formula_sum 'Zn12 B4 O20'
_space_group_name_H-M_alt 'P b a m'
_space_group_IT_number 55
_space_group_name_Hall '-P 2 2ab'
_cell_length_a 9.4216
_cell_length_b 12.4011
_cell_length_c 3.1343
_cell_angle_alpha 90.00
_cell_angle_beta 90.00
_cell_angle_gamma 90.00
loop_
_atom_site_label
_atom_site_fract_x
_atom_site_fract_y
_atom_site_fract_z
Zn1 0.0000 0.0000 0.0000
Zn2 0.0000 0.5000 0.5000
Zn3 0.0068 0.2211 0.5000
Zn4 0.2401 0.3824 0.0000
B1 0.2218 0.6395 0.0000
O1 0.1053 0.9199 0.5000
O2 0.1070 0.3585 0.5000
O3 0.1311 0.1417 0.0000
O4 0.1467 0.7359 0.0000
O5 0.1489 0.5426 0.0000
# - ΔH_f (0 K): -17.3 eV per formula unit